(1)
DFT (PBE-GGA) results for a geometry-optimized Ac3Pm structure.

Cell: 7.8389 7.8389 6.4165 Å, 90.00 90.00 120.00°
Last column: nearest neighbours and their distance in Å.
Sites, in units of the cell vectors:
Ac 0.1685 0.3369 0.2500  8 Ac 3.88-3.96, 4 Pm 3.91-3.92
Ac 0.1685 0.8315 0.2500  8 Ac 3.88-3.96, 4 Pm 3.91-3.92
Ac 0.3369 0.1685 0.7500  8 Ac 3.88-3.96, 4 Pm 3.91-3.92
Ac 0.6631 0.8315 0.2500  8 Ac 3.88-3.96, 4 Pm 3.91-3.92
Ac 0.8315 0.1685 0.7500  8 Ac 3.88-3.96, 4 Pm 3.91-3.92
Ac 0.8315 0.6631 0.7500  8 Ac 3.88-3.96, 4 Pm 3.91-3.92
Pm 0.3333 0.6667 0.7500  12 Ac 3.91-3.92
Pm 0.6667 0.3333 0.2500  12 Ac 3.91-3.92

## Properties
As for the space-group type: P6_3/mmc, No. 194. The value obtained for the electronic total energy is -4.229 eV per atom. The calculation puts the calculated formation energy at 0.05 eV/atom. For the calculated density, the calculation gives 8.03 Mg/m³.


(2)
DFT (PBE-GGA) results for a geometry-optimized Ac3Pr structure.

Cell: 7.8922 7.8922 6.3692 Å, 90.00 90.00 120.00°
Last column: nearest neighbours and their distance in Å.
Sites, in units of the cell vectors:
Ac 0.1682 0.3363 0.2500  4 Pr 3.90-3.95, 8 Ac 3.91-3.98
Ac 0.1682 0.8318 0.2500  4 Pr 3.90-3.95, 8 Ac 3.91-3.98
Ac 0.3363 0.1682 0.7500  4 Pr 3.90-3.95, 8 Ac 3.91-3.98
Ac 0.6637 0.8318 0.2500  4 Pr 3.90-3.95, 8 Ac 3.91-3.98
Ac 0.8318 0.1682 0.7500  4 Pr 3.90-3.95, 8 Ac 3.91-3.98
Ac 0.8318 0.6637 0.7500  4 Pr 3.90-3.95, 8 Ac 3.91-3.98
Pr 0.3333 0.6667 0.7500  12 Ac 3.90-3.95
Pr 0.6667 0.3333 0.2500  12 Ac 3.90-3.95

## Properties
As for the space-group type: P6_3/mmc, No. 194. The value obtained for the electronic total energy is -4.245 eV per atom. The calculation puts the calculated formation energy at 0.04 eV/atom. For the calculated density, the calculation gives 7.94 Mg/m³.


(3)
DFT (PBE-GGA) results for a geometry-optimized Rb3Ac structure.

Cell: 9.3077 9.3077 7.7194 Å, 90.00 90.00 120.00°
Last column: nearest neighbours and their distance in Å.
Sites, in units of the cell vectors:
Rb 0.1705 0.3410 0.2500  8 Rb 4.55-4.76, 4 Ac 4.65-4.67
Rb 0.1705 0.8295 0.2500  8 Rb 4.55-4.76, 4 Ac 4.65-4.67
Rb 0.3410 0.1705 0.7500  8 Rb 4.55-4.76, 4 Ac 4.65-4.67
Rb 0.6590 0.8295 0.2500  8 Rb 4.55-4.76, 4 Ac 4.65-4.67
Rb 0.8295 0.1705 0.7500  8 Rb 4.55-4.76, 4 Ac 4.65-4.67
Rb 0.8295 0.6590 0.7500  8 Rb 4.55-4.76, 4 Ac 4.65-4.67
Ac 0.3333 0.6667 0.7500  12 Rb 4.65-4.67
Ac 0.6667 0.3333 0.2500  12 Rb 4.65-4.67

## Properties
As for the space-group type: P6_3/mmc, No. 194. The value obtained for the electronic total energy is -1.288 eV per atom. The calculation puts the calculated formation energy at 0.48 eV/atom. For the calculated density, the calculation gives 2.77 Mg/m³.


(4)
DFT (PBE-GGA) results for a geometry-optimized Rb3Ac structure.

Cell: 6.3420 6.3420 14.2613 Å, 90.00 90.00 90.00°
Last column: nearest neighbours and their distance in Å.
Sites, in units of the cell vectors:
Rb 0.0000 0.0000 0.0000  4 Ac 4.48, 8 Rb 4.77
Rb 0.0000 0.5000 0.2500  8 Rb 4.48-4.77, 4 Ac 4.77
Rb 0.0000 0.5000 0.7500  8 Rb 4.48-4.77, 4 Ac 4.77
Rb 0.5000 0.0000 0.2500  8 Rb 4.48-4.77, 4 Ac 4.77
Rb 0.5000 0.0000 0.7500  8 Rb 4.48-4.77, 4 Ac 4.77
Rb 0.5000 0.5000 0.5000  4 Ac 4.48, 8 Rb 4.77
Ac 0.0000 0.0000 0.5000  12 Rb 4.48-4.77
Ac 0.5000 0.5000 0.0000  12 Rb 4.48-4.77

## Properties
As for the space-group type: I4/mmm, No. 139. The value obtained for the electronic total energy is -1.282 eV per atom. The calculation puts the calculated formation energy at 0.48 eV/atom. For the calculated density, the calculation gives 2.80 Mg/m³.


(5)
DFT (PBE-GGA) results for a geometry-optimized RbAcTe2 structure.

Cell: 8.3278 8.3278 8.3278 Å, 90.00 90.00 90.00°
Last column: nearest neighbours and their distance in Å.
Sites, in units of the cell vectors:
Rb 0.0000 0.0000 0.0000  8 Te 3.61
Rb 0.0000 0.5000 0.5000  8 Te 3.61
Rb 0.5000 0.0000 0.5000  8 Te 3.61
Rb 0.5000 0.5000 0.0000  8 Te 3.61
Ac 0.0000 0.0000 0.5000  8 Te 3.61
Ac 0.0000 0.5000 0.0000  8 Te 3.61
Ac 0.5000 0.0000 0.0000  8 Te 3.61
Ac 0.5000 0.5000 0.5000  8 Te 3.61
Te 0.2500 0.2500 0.2500  4 Ac 3.61, 4 Rb 3.61
Te 0.2500 0.2500 0.7500  4 Ac 3.61, 4 Rb 3.61
Te 0.2500 0.7500 0.2500  4 Ac 3.61, 4 Rb 3.61
Te 0.2500 0.7500 0.7500  4 Ac 3.61, 4 Rb 3.61
Te 0.7500 0.2500 0.2500  4 Ac 3.61, 4 Rb 3.61
Te 0.7500 0.2500 0.7500  4 Ac 3.61, 4 Rb 3.61
Te 0.7500 0.7500 0.2500  4 Ac 3.61, 4 Rb 3.61
Te 0.7500 0.7500 0.7500  4 Ac 3.61, 4 Rb 3.61

## Properties
As for the space-group type: Fm-3m, No. 225. The value obtained for the electronic total energy is -4.092 eV per atom. The calculation puts the calculated formation energy at -1.46 eV/atom. For the calculated density, the calculation gives 6.53 Mg/m³.


(6)
DFT (PBE-GGA) results for a geometry-optimized AcSc3 structure.

Cell: 6.9697 6.9697 5.5747 Å, 90.00 90.00 120.00°
Last column: nearest neighbours and their distance in Å.
Sites, in units of the cell vectors:
Ac 0.3333 0.6667 0.2500  12 Sc 3.49
Ac 0.6667 0.3333 0.7500  12 Sc 3.49
Sc 0.1591 0.3181 0.7500  8 Sc 3.33-3.64, 4 Ac 3.49
Sc 0.1591 0.8409 0.7500  8 Sc 3.33-3.64, 4 Ac 3.49
Sc 0.3181 0.1591 0.2500  8 Sc 3.33-3.64, 4 Ac 3.49
Sc 0.6819 0.8409 0.7500  8 Sc 3.33-3.64, 4 Ac 3.49
Sc 0.8409 0.1591 0.2500  8 Sc 3.33-3.64, 4 Ac 3.49
Sc 0.8409 0.6819 0.2500  8 Sc 3.33-3.64, 4 Ac 3.49

## Properties
As for the space-group type: P6_3/mmc, No. 194. The value obtained for the electronic total energy is -5.656 eV per atom. The calculation puts the calculated formation energy at 0.12 eV/atom. For the calculated density, the calculation gives 5.12 Mg/m³.


(7)
DFT (PBE-GGA) results for a geometry-optimized Ac3Si structure.

Cell: 7.5850 7.5850 5.5421 Å, 90.00 90.00 120.00°
Last column: nearest neighbours and their distance in Å.
Sites, in units of the cell vectors:
Ac 0.1812 0.3624 0.2500  4 Si 3.42-3.80, 6 Ac 3.46-3.65
Ac 0.1812 0.8188 0.2500  4 Si 3.42-3.80, 6 Ac 3.46-3.65
Ac 0.3624 0.1812 0.7500  4 Si 3.42-3.80, 6 Ac 3.46-3.65
Ac 0.6376 0.8188 0.2500  4 Si 3.42-3.80, 6 Ac 3.46-3.65
Ac 0.8188 0.1812 0.7500  4 Si 3.42-3.80, 6 Ac 3.46-3.65
Ac 0.8188 0.6376 0.7500  4 Si 3.42-3.80, 6 Ac 3.46-3.65
Si 0.3333 0.6667 0.7500  12 Ac 3.42-3.80
Si 0.6667 0.3333 0.2500  12 Ac 3.42-3.80

## Properties
As for the space-group type: P6_3/mmc, No. 194. The value obtained for the electronic total energy is -4.480 eV per atom. The calculation puts the calculated formation energy at -0.02 eV/atom. For the calculated density, the calculation gives 8.53 Mg/m³.


(8)
DFT (PBE-GGA) results for a geometry-optimized Ac2ZnSn structure.

Cell: 8.0387 8.0387 8.0387 Å, 90.00 90.00 90.00°
Last column: nearest neighbours and their distance in Å.
Sites, in units of the cell vectors:
Ac 0.2500 0.2500 0.2500  4 Sn 3.48, 4 Zn 3.48
Ac 0.2500 0.2500 0.7500  4 Sn 3.48, 4 Zn 3.48
Ac 0.2500 0.7500 0.2500  4 Sn 3.48, 4 Zn 3.48
Ac 0.2500 0.7500 0.7500  4 Sn 3.48, 4 Zn 3.48
Ac 0.7500 0.2500 0.2500  4 Sn 3.48, 4 Zn 3.48
Ac 0.7500 0.2500 0.7500  4 Sn 3.48, 4 Zn 3.48
Ac 0.7500 0.7500 0.2500  4 Sn 3.48, 4 Zn 3.48
Ac 0.7500 0.7500 0.7500  4 Sn 3.48, 4 Zn 3.48
Zn 0.0000 0.0000 0.0000  8 Ac 3.48
Zn 0.0000 0.5000 0.5000  8 Ac 3.48
Zn 0.5000 0.0000 0.5000  8 Ac 3.48
Zn 0.5000 0.5000 0.0000  8 Ac 3.48
Sn 0.0000 0.0000 0.5000  8 Ac 3.48
Sn 0.0000 0.5000 0.0000  8 Ac 3.48
Sn 0.5000 0.0000 0.0000  8 Ac 3.48
Sn 0.5000 0.5000 0.5000  8 Ac 3.48

## Properties
As for the space-group type: Fm-3m, No. 225. The value obtained for the electronic total energy is -3.814 eV per atom. The calculation puts the calculated formation energy at -0.44 eV/atom. For the calculated density, the calculation gives 8.16 Mg/m³.